LuBPt2 | PBE | relaxed

- Final energy: -6.845 eV/atom
- Volume: 16.03 A^3/atom

Lattice parameters (Å, degrees): 5.293 5.293 7.931 90.00 90.00 120.00
Element x y z (fractional)
Lu 0.000 0.500 0.167
Lu 0.500 0.000 0.500
Lu 0.500 0.500 0.833
B 0.000 0.500 0.667
B 0.500 0.000 0.000
B 0.500 0.500 0.333
Pt 0.152 0.303 0.500
Pt 0.152 0.848 0.833
Pt 0.303 0.152 0.167
Pt 0.697 0.848 0.167
Pt 0.848 0.152 0.833
Pt 0.848 0.697 0.500

Lu2ReB6 | PBE | relaxed

- Final energy: -7.533 eV/atom
- Volume: 10.46 A^3/atom

Lattice parameters (Å, degrees): 9.085 11.452 3.618 90.00 90.00 90.00
Element x y z (fractional)
Lu 0.056 0.129 0.000
Lu 0.176 0.414 0.000
Lu 0.324 0.914 0.000
Lu 0.444 0.629 0.000
Lu 0.556 0.371 0.000
Lu 0.676 0.086 0.000
Lu 0.824 0.586 0.000
Lu 0.944 0.871 0.000
Re 0.139 0.679 0.000
Re 0.361 0.179 0.000
Re 0.639 0.821 0.000
Re 0.861 0.321 0.000
B 0.018 0.288 0.500
B 0.054 0.566 0.500
B 0.100 0.972 0.500
B 0.132 0.815 0.500
B 0.205 0.234 0.500
B 0.249 0.079 0.500
B 0.251 0.579 0.500
B 0.295 0.734 0.500
B 0.368 0.315 0.500
B 0.400 0.472 0.500
B 0.446 0.066 0.500
B 0.482 0.788 0.500
B 0.518 0.212 0.500
B 0.554 0.934 0.500
B 0.600 0.528 0.500
B 0.632 0.685 0.500
B 0.705 0.266 0.500
B 0.749 0.421 0.500
B 0.751 0.921 0.500
B 0.795 0.766 0.500
B 0.868 0.185 0.500
B 0.900 0.028 0.500
B 0.946 0.434 0.500
B 0.982 0.712 0.500

LuB2Rh3 | PBE | relaxed

- Final energy: -7.368 eV/atom
- Volume: 13.15 A^3/atom

Lattice parameters (Å, degrees): 5.404 5.404 3.119 90.00 90.00 120.00
Element x y z (fractional)
Lu 0.000 0.000 0.000
B 0.333 0.667 0.000
B 0.667 0.333 0.000
Rh 0.000 0.500 0.500
Rh 0.500 0.000 0.500
Rh 0.500 0.500 0.500

LuB4Rh4 | PBE | relaxed

- Final energy: -7.317 eV/atom
- Polymorph energy (0 for the lowest one): 0.05 kcal/mol of atoms
- Volume: 11.69 A^3/atom

Lattice parameters (Å, degrees): 5.326 5.326 7.420 90.00 90.00 90.00
Element x y z (fractional)
Lu 0.250 0.750 0.250
Lu 0.750 0.250 0.750
B 0.081 0.250 0.101
B 0.250 0.081 0.601
B 0.250 0.419 0.601
B 0.419 0.250 0.101
B 0.581 0.750 0.899
B 0.750 0.581 0.399
B 0.750 0.919 0.399
B 0.919 0.750 0.899
Rh 0.001 0.750 0.604
Rh 0.250 0.501 0.896
Rh 0.250 0.999 0.896
Rh 0.499 0.750 0.604
Rh 0.501 0.250 0.396
Rh 0.750 0.001 0.104
Rh 0.750 0.499 0.104
Rh 0.999 0.250 0.396

LuB4Rh4 | PBE | relaxed

- Final energy: -7.319 eV/atom
- Polymorph energy (0 for the lowest one): 0.00 kcal/mol of atoms
- Volume: 11.69 A^3/atom

Lattice parameters (Å, degrees): 11.805 11.805 7.513 90.00 90.00 142.92
Element x y z (fractional)
Lu 0.083 0.917 0.750
Lu 0.250 0.750 0.250
Lu 0.417 0.583 0.750
Lu 0.583 0.417 0.250
Lu 0.750 0.250 0.750
Lu 0.917 0.083 0.250
B 0.003 0.723 0.422
B 0.052 0.659 0.584
B 0.141 0.198 0.886
B 0.159 0.552 0.916
B 0.198 0.141 0.386
B 0.223 0.503 0.078
B 0.277 0.997 0.078
B 0.302 0.359 0.386
B 0.341 0.948 0.916
B 0.359 0.302 0.886
B 0.448 0.841 0.584
B 0.497 0.777 0.422
B 0.503 0.223 0.578
B 0.552 0.159 0.416
B 0.641 0.698 0.114
B 0.659 0.052 0.084
B 0.698 0.641 0.614
B 0.723 0.003 0.922
B 0.777 0.497 0.922
B 0.802 0.859 0.614
B 0.841 0.448 0.084
B 0.859 0.802 0.114
B 0.948 0.341 0.416
B 0.997 0.277 0.578
Rh 0.030 0.279 0.864
Rh 0.058 0.644 0.874
Rh 0.075 0.158 0.594
Rh 0.144 0.558 0.626
Rh 0.158 0.075 0.094
Rh 0.221 0.470 0.364
Rh 0.279 0.030 0.364
Rh 0.342 0.425 0.094
Rh 0.356 0.942 0.626
Rh 0.425 0.342 0.594
Rh 0.442 0.856 0.874
Rh 0.470 0.221 0.864
Rh 0.530 0.779 0.136
Rh 0.558 0.144 0.126
Rh 0.575 0.658 0.406
Rh 0.644 0.058 0.374
Rh 0.658 0.575 0.906
Rh 0.721 0.970 0.636
Rh 0.779 0.530 0.636
Rh 0.842 0.925 0.906
Rh 0.856 0.442 0.374
Rh 0.925 0.842 0.406
Rh 0.942 0.356 0.126
Rh 0.970 0.721 0.136

LuB4Rh4 | PBE | relaxed

- Final energy: -7.317 eV/atom
- Polymorph energy (0 for the lowest one): 0.06 kcal/mol of atoms
- Volume: 11.69 A^3/atom

Lattice parameters (Å, degrees): 9.150 9.150 9.150 131.50 131.50 71.03
Element x y z (fractional)
Lu 0.125 0.375 0.750
Lu 0.375 0.125 0.250
Lu 0.625 0.875 0.750
Lu 0.875 0.625 0.250
B 0.070 0.127 0.283
B 0.127 0.344 0.057
B 0.156 0.373 0.443
B 0.213 0.930 0.557
B 0.287 0.844 0.717
B 0.344 0.787 0.217
B 0.373 0.430 0.217
B 0.430 0.713 0.057
B 0.570 0.287 0.943
B 0.627 0.570 0.783
B 0.656 0.213 0.783
B 0.713 0.156 0.283
B 0.787 0.070 0.443
B 0.844 0.627 0.557
B 0.873 0.656 0.943
B 0.930 0.873 0.717
Rh 0.034 0.822 0.979
Rh 0.055 0.034 0.712
Rh 0.157 0.678 0.712
Rh 0.178 0.657 0.212
Rh 0.322 0.534 0.479
Rh 0.343 0.055 0.521
Rh 0.445 0.157 0.979
Rh 0.466 0.445 0.788
Rh 0.534 0.555 0.212
Rh 0.555 0.843 0.021
Rh 0.657 0.945 0.479
Rh 0.678 0.466 0.521
Rh 0.822 0.343 0.788
Rh 0.843 0.322 0.288
Rh 0.945 0.966 0.288
Rh 0.966 0.178 0.021

LuThB8Rh8 | PBE | relaxed

- Final energy: -7.481 eV/atom
- Volume: 11.97 A^3/atom

Lattice parameters (Å, degrees): 5.351 5.351 7.525 90.00 90.00 90.00
Element x y z (fractional)
Lu 0.000 0.000 0.000
Th 0.500 0.500 0.500
B 0.000 0.333 0.651
B 0.000 0.667 0.651
B 0.169 0.500 0.149
B 0.333 0.000 0.349
B 0.500 0.169 0.851
B 0.500 0.831 0.851
B 0.667 0.000 0.349
B 0.831 0.500 0.149
Rh 0.000 0.249 0.350
Rh 0.000 0.751 0.350
Rh 0.249 0.000 0.650
Rh 0.250 0.500 0.859
Rh 0.500 0.250 0.141
Rh 0.500 0.750 0.141
Rh 0.750 0.500 0.859
Rh 0.751 0.000 0.650

LuB4Ru4 | PBE | relaxed

- Final energy: -8.092 eV/atom
- Volume: 11.60 A^3/atom

Lattice parameters (Å, degrees): 9.174 9.174 9.174 132.04 132.04 70.17
Element x y z (fractional)
Lu 0.125 0.375 0.750
Lu 0.375 0.125 0.250
Lu 0.625 0.875 0.750
Lu 0.875 0.625 0.250
B 0.068 0.126 0.282
B 0.126 0.344 0.057
B 0.156 0.374 0.443
B 0.213 0.932 0.557
B 0.287 0.844 0.718
B 0.344 0.787 0.218
B 0.374 0.432 0.218
B 0.432 0.713 0.057
B 0.568 0.287 0.943
B 0.626 0.568 0.782
B 0.656 0.213 0.782
B 0.713 0.156 0.282
B 0.787 0.068 0.443
B 0.844 0.626 0.557
B 0.874 0.656 0.943
B 0.932 0.874 0.718
Ru 0.036 0.822 0.985
Ru 0.052 0.036 0.714
Ru 0.163 0.678 0.714
Ru 0.178 0.663 0.214
Ru 0.322 0.536 0.485
Ru 0.337 0.052 0.515
Ru 0.448 0.163 0.985
Ru 0.464 0.448 0.786
Ru 0.536 0.552 0.214
Ru 0.552 0.837 0.015
Ru 0.663 0.948 0.485
Ru 0.678 0.464 0.515
Ru 0.822 0.337 0.786
Ru 0.837 0.322 0.286
Ru 0.948 0.964 0.286
Ru 0.964 0.178 0.015

LuB2Ru | PBE | relaxed

- Final energy: -7.456 eV/atom
- Volume: 12.06 A^3/atom

Lattice parameters (Å, degrees): 5.830 5.263 6.289 90.00 90.00 90.00
Element x y z (fractional)
Lu 0.011 0.250 0.166
Lu 0.489 0.750 0.666
Lu 0.511 0.250 0.334
Lu 0.989 0.750 0.834
B 0.135 0.584 0.465
B 0.135 0.916 0.465
B 0.365 0.084 0.965
B 0.365 0.416 0.965
B 0.635 0.584 0.035
B 0.635 0.916 0.035
B 0.865 0.084 0.535
B 0.865 0.416 0.535
Ru 0.181 0.250 0.682
Ru 0.319 0.750 0.182
Ru 0.681 0.250 0.818
Ru 0.819 0.750 0.318

LuB2Ru3 | PBE | relaxed

- Final energy: -8.103 eV/atom
- Volume: 13.10 A^3/atom

Lattice parameters (Å, degrees): 5.476 5.476 3.027 90.00 90.00 120.00
Element x y z (fractional)
Lu 0.000 0.000 0.000
B 0.333 0.667 0.000
B 0.667 0.333 0.000
Ru 0.000 0.500 0.500
Ru 0.500 0.000 0.500
Ru 0.500 0.500 0.500

Lu2B6Ru | PBE | relaxed

- Final energy: -7.228 eV/atom
- Volume: 10.26 A^3/atom

Lattice parameters (Å, degrees): 9.022 11.385 3.597 90.00 90.00 90.00
Element x y z (fractional)
Lu 0.056 0.127 0.000
Lu 0.179 0.414 0.000
Lu 0.321 0.914 0.000
Lu 0.444 0.627 0.000
Lu 0.556 0.373 0.000
Lu 0.679 0.086 0.000
Lu 0.821 0.586 0.000
Lu 0.944 0.873 0.000
B 0.018 0.287 0.500
B 0.054 0.566 0.500
B 0.108 0.970 0.500
B 0.132 0.815 0.500
B 0.208 0.234 0.500
B 0.249 0.579 0.500
B 0.251 0.079 0.500
B 0.292 0.734 0.500
B 0.368 0.315 0.500
B 0.392 0.470 0.500
B 0.446 0.066 0.500
B 0.482 0.787 0.500
B 0.518 0.213 0.500
B 0.554 0.934 0.500
B 0.608 0.530 0.500
B 0.632 0.685 0.500
B 0.708 0.266 0.500
B 0.749 0.921 0.500
B 0.751 0.421 0.500
B 0.792 0.766 0.500
B 0.868 0.185 0.500
B 0.892 0.030 0.500
B 0.946 0.434 0.500
B 0.982 0.713 0.500
Ru 0.138 0.679 0.000
Ru 0.362 0.179 0.000
Ru 0.638 0.821 0.000
Ru 0.862 0.321 0.000

LuUB8 | PBE | relaxed

- Final energy: -7.438 eV/atom
- Volume: 9.78 A^3/atom

Lattice parameters (Å, degrees): 7.032 7.032 3.957 90.00 90.00 90.63
Element x y z (fractional)
Lu 0.181 0.819 0.000
Lu 0.819 0.181 0.000
U 0.312 0.312 0.000
U 0.688 0.688 0.000
B 0.000 0.500 0.200
B 0.000 0.500 0.800
B 0.041 0.322 0.500
B 0.088 0.088 0.500
B 0.179 0.537 0.500
B 0.322 0.041 0.500
B 0.414 0.586 0.500
B 0.463 0.821 0.500
B 0.500 0.000 0.200
B 0.500 0.000 0.800
B 0.537 0.179 0.500
B 0.586 0.414 0.500
B 0.678 0.959 0.500
B 0.821 0.463 0.500
B 0.912 0.912 0.500
B 0.959 0.678 0.500

Look up the volume of the third one. 13.15 A^3/atom

final energy of number 7 (LuThB8Rh8)? -7.481 eV/atom